Record 1
Entry from the Materials Project: a geometry-optimized V2O5 structure (PBE with a Hubbard U).

Results
Magnetization, μB/f.u.: 0.133
SG: No. 1

Unit cell a=11.810 b=11.867 c=11.446 alpha=86.18 beta=89.33 gamma=88.72
Element x y z (fractional)
O  0.679  0.107  0.684
O  0.937  0.724  0.514
O  0.692  0.341  0.673
O  0.012  0.595  0.152
O  0.745  0.369  0.447
V  0.979  0.727  0.132
O  0.650  0.764  0.399
V  0.197  0.464  0.909
O  0.411  0.993  0.843
O  0.480  0.683  0.214
O  0.520  0.189  0.809
V  0.452  0.411  0.588
O  0.717  0.630  0.849
O  0.935  0.458  0.798
O  0.802  0.811  0.687
O  0.636  0.994  0.264
O  0.468  0.602  0.948
O  0.366  0.361  0.337
O  0.868  0.709  0.009
V  0.061  0.265  0.335
O  0.723  0.243  0.882
O  0.274  0.022  0.607
V  0.930  0.843  0.596
O  0.598  0.844  0.823
V  0.615  0.309  0.810
O  0.964  0.463  0.559
O  0.321  0.663  0.662
V  0.551  0.907  0.993
O  0.225  0.955  0.005
V  0.019  0.131  0.759
O  0.589  0.408  0.922
V  0.387  0.998  0.532
V  0.318  0.897  0.902
O  0.582  0.217  0.298
O  0.396  0.114  0.420
V  0.571  0.057  0.759
O  0.627  0.553  0.349
O  0.597  0.717  0.631
O  0.923  0.245  0.006
V  0.874  0.080  0.444
O  0.117  0.576  0.411
V  0.634  0.627  0.492
V  0.174  0.704  0.713
V  0.786  0.092  0.951
O  0.055  0.790  0.256
O  0.516  0.543  0.544
O  0.682  0.155  0.086
O  0.656  0.017  0.903
V  0.722  0.863  0.307
O  0.125  0.123  0.850
V  0.977  0.585  0.458
V  0.432  0.231  0.320
O  0.014  0.274  0.693
O  0.976  0.189  0.451
O  0.246  0.522  0.226
O  0.820  0.914  0.417
O  0.066  0.039  0.657
O  0.637  0.838  0.085
O  0.752  0.579  0.545
O  0.891  0.065  0.293
O  0.194  0.605  0.871
O  0.240  0.816  0.804
V  0.245  0.488  0.364
O  0.141  0.370  0.391
O  0.326  0.618  0.416
O  0.170  0.402  0.782
O  0.897  0.000  0.590
O  0.501  0.459  0.146
O  0.177  0.765  0.544
O  0.331  0.414  0.965
O  0.418  0.177  0.184
V  0.313  0.723  0.516
O  0.530  0.297  0.515
O  0.086  0.787  0.041
O  0.088  0.417  0.010
V  0.778  0.601  0.990
O  0.032  0.808  0.697
O  0.066  0.993  0.203
V  0.567  0.577  0.211
O  0.845  0.468  0.022
V  0.682  0.278  0.532
O  0.420  0.821  0.990
O  0.844  0.002  0.045
V  0.580  0.111  0.181
V  0.956  0.362  0.064
O  0.502  0.006  0.630
O  0.883  0.090  0.831
O  0.099  0.591  0.680
O  0.854  0.825  0.225
V  0.677  0.750  0.747
V  0.967  0.916  0.306
V  0.158  0.888  0.141
O  0.681  0.611  0.102
O  0.268  0.855  0.220
O  0.894  0.567  0.348
O  0.506  0.019  0.075
O  0.154  0.181  0.280
O  0.026  0.919  0.441
O  0.972  0.330  0.216
O  0.388  0.852  0.486
O  0.471  0.389  0.735
O  0.745  0.148  0.470
V  0.027  0.424  0.699
V  0.469  0.470  0.992
O  0.315  0.419  0.554

***

Record 2
Entry from the Materials Project: a geometry-optimized V2O5 structure (PBE with a Hubbard U).

Results
Magnetization, μB/f.u.: 0.400
SG: No. 1

Unit cell a=12.801 b=11.494 c=12.666 alpha=83.83 beta=92.53 gamma=91.03
Element x y z (fractional)
V  0.035  0.608  0.286
O  0.947  0.902  0.055
O  0.353  0.717  0.130
O  0.361  0.751  0.497
V  0.427  0.474  0.317
O  0.909  0.778  0.824
O  0.024  0.788  0.256
V  0.636  0.738  0.702
O  0.241  0.011  0.707
O  0.885  0.000  0.611
V  0.076  0.312  0.358
O  0.459  0.030  0.064
O  0.421  0.321  0.409
O  0.391  0.242  0.026
O  0.971  0.589  0.394
O  0.937  0.573  0.164
V  0.685  0.578  0.945
O  0.170  0.992  0.290
O  0.019  0.433  0.018
O  0.746  0.727  0.953
O  0.146  0.591  0.901
O  0.078  0.437  0.278
V  0.582  0.403  0.748
V  0.086  0.903  0.346
O  0.801  0.501  0.000
V  0.022  0.272  0.772
O  0.495  0.060  0.662
O  0.250  0.226  0.184
V  0.917  0.155  0.198
O  0.580  0.010  0.883
V  0.446  0.745  0.868
O  0.571  0.833  0.592
O  0.328  0.260  0.612
O  0.793  0.447  0.487
O  0.606  0.244  0.035
O  0.609  0.246  0.764
V  0.508  0.193  0.104
O  0.459  0.414  0.764
O  0.023  0.974  0.458
O  0.182  0.633  0.310
O  0.948  0.124  0.069
O  0.680  0.659  0.448
O  0.792  0.136  0.270
O  0.578  0.687  0.835
V  0.906  0.866  0.187
O  0.727  0.652  0.672
O  0.056  0.866  0.671
V  0.953  0.037  0.951
O  0.055  0.986  0.877
O  0.511  0.630  0.647
O  0.368  0.563  0.394
O  0.024  0.200  0.291
V  0.665  0.502  0.487
O  0.656  0.475  0.843
O  0.202  0.272  0.415
V  0.765  0.779  0.406
O  0.088  0.183  0.710
O  0.161  0.799  0.426
V  0.448  0.755  0.604
O  0.700  0.913  0.375
O  0.589  0.449  0.395
O  0.378  0.634  0.913
O  0.211  0.996  0.058
V  0.882  0.333  0.544
V  0.529  0.118  0.780
V  0.132  0.927  0.773
O  0.528  0.788  0.011
V  0.479  0.711  0.153
O  0.402  0.788  0.730
O  0.616  0.446  0.610
O  0.602  0.557  0.038
O  0.959  0.184  0.874
O  0.587  0.082  0.213
V  0.703  0.020  0.254
O  0.818  0.212  0.538
V  0.138  0.455  0.943
V  0.806  0.836  0.865
O  0.329  0.438  0.228
O  0.112  0.371  0.830
V  0.909  0.458  0.090
O  0.405  0.152  0.801
O  0.835  0.991  0.894
O  0.954  0.988  0.256
V  0.330  0.321  0.126
O  0.197  0.576  0.524
V  0.491  0.938  0.978
V  0.327  0.240  0.475
V  0.245  0.663  0.429
O  0.470  0.290  0.195
V  0.956  0.905  0.565
O  0.713  0.855  0.757
O  0.819  0.760  0.290
O  0.506  0.567  0.232
O  0.199  0.891  0.087
O  0.513  0.814  0.230
V  0.346  0.100  0.660
O  0.883  0.326  0.161
O  0.758  0.946  0.161
O  0.864  0.800  0.504
O  0.188  0.816  0.837
O  0.387  0.894  0.898
O  0.926  0.346  0.679
O  0.348  0.091  0.506
O  0.249  0.414  0.025
O  0.995  0.332  0.464

***

Number 1: corrected total energy (MP2020 scheme) -8.2930 eV per atom, energy -51.22 eV per formula unit, energy of formation -2.163 eV/atom. Number 2: corrected total energy (MP2020 scheme) -7.9351 eV per atom, energy -51.34 eV per formula unit, energy of formation -1.805 eV/atom.